! Er3C4 PBE-GGA optimized geometry; values from VASP
! crystal system = tetragonal
! E_tot = -7.579 eV/atom
! formation energy from the elements = -0.3477 eV per atom
&SYSTEM
  ibrav = 0, nat = 70, ntyp = 2
/
ATOMIC_SPECIES
C 12.01 C.upf
Er 167.26 Er.upf
ATOMIC_POSITIONS crystal
C 0.8934 0.6964 0.0000
C 0.5986 0.8077 0.8282
C 0.8077 0.4014 0.1718
C 0.1923 0.5986 0.8282
C 0.6923 0.9014 0.3282
C 0.4014 0.1923 0.1718
C 0.1964 0.3934 0.5000
C 0.9014 0.3077 0.6718
C 0.6496 0.8504 0.2500
C 0.0986 0.6923 0.3282
C 0.6066 0.1964 0.5000
C 0.3036 0.8934 0.0000
C 0.8036 0.6066 0.5000
C 0.6964 0.1066 0.0000
C 0.3934 0.8036 0.5000
C 0.3504 0.1496 0.2500
C 0.5000 0.5000 0.3435
C 0.8077 0.4014 0.8282
C 0.3077 0.0986 0.6718
C 0.5000 0.5000 0.0414
C 0.1496 0.6496 0.7500
C 0.1923 0.5986 0.1718
C 0.5000 0.5000 0.9586
C 0.0000 0.0000 0.5414
C 0.0000 0.0000 0.4586
C 0.8504 0.3504 0.2500
C 0.3504 0.1496 0.7500
C 0.8504 0.3504 0.7500
C 0.6496 0.8504 0.7500
C 0.6923 0.9014 0.6718
C 0.0986 0.6923 0.6718
C 0.0000 0.0000 0.8435
C 0.4014 0.1923 0.8282
C 0.0000 0.0000 0.1565
C 0.9014 0.3077 0.3282
C 0.5986 0.8077 0.1718
C 0.1066 0.3036 0.0000
C 0.5000 0.5000 0.6565
C 0.1496 0.6496 0.2500
C 0.3077 0.0986 0.3282
Er 0.9046 0.2975 0.5000
Er 0.1006 0.2881 0.1463
Er 0.5000 0.5000 0.5000
Er 0.5000 0.5000 0.8125
Er 0.2881 0.8994 0.1463
Er 0.0954 0.7025 0.5000
Er 0.1006 0.2881 0.8537
Er 0.7119 0.1006 0.8537
Er 0.7881 0.6006 0.6463
Er 0.5000 0.5000 0.1875
Er 0.8994 0.7119 0.1463
Er 0.2119 0.3994 0.3537
Er 0.2119 0.3994 0.6463
Er 0.4046 0.2025 0.0000
Er 0.0000 0.0000 0.3125
Er 0.3994 0.7881 0.6463
Er 0.7975 0.4046 0.0000
Er 0.7881 0.6006 0.3537
Er 0.2881 0.8994 0.8537
Er 0.5954 0.7975 0.0000
Er 0.3994 0.7881 0.3537
Er 0.2975 0.0954 0.5000
Er 0.8994 0.7119 0.8537
Er 0.7119 0.1006 0.1463
Er 0.7025 0.9046 0.5000
Er 0.6006 0.2119 0.3537
Er 0.6006 0.2119 0.6463
Er 0.0000 0.0000 0.0000
Er 0.0000 0.0000 0.6875
Er 0.2025 0.5954 0.0000
CELL_PARAMETERS angstrom
-4.0918 2.6751 -6.3674
-6.6091 -3.6651 2.7073
-3.9604 13.0812 8.0407